# 1
# Os10C23S2O23 PBE relaxed
data_Os10C23S2O23
_chemical_formula_sum 'Os40 C92 S8 O92'
_cell_length_a 20.9248
_cell_length_b 10.8742
_cell_length_c 21.3738
_cell_angle_alpha 90.00
_cell_angle_beta 118.65
_cell_angle_gamma 90.00
_symmetry_space_group_name_H-M 'C 1 2/c 1'
_symmetry_Int_Tables_number 15
loop_
_symmetry_equiv_pos_as_xyz
'x,y,z'
'-x,-y,-z'
'-x,y,-z+1/2'
'x,-y,z+1/2'
'x+1/2,y+1/2,z'
'-x+1/2,-y+1/2,-z'
'-x+1/2,y+1/2,-z+1/2'
'x+1/2,-y+1/2,z+1/2'
loop_
_atom_site_label
_atom_site_type_symbol
_atom_site_fract_x
_atom_site_fract_y
_atom_site_fract_z
Os1 Os 0.0000 0.0332 0.2500
Os2 Os 0.0000 0.2291 0.7500
Os3 Os 0.0054 0.3129 0.8794
Os4 Os 0.0711 0.1037 0.6878
Os5 Os 0.0794 0.0990 0.8763
Os6 Os 0.1599 0.0377 0.3221
C1 C 0.0000 0.4048 0.7500
C2 C 0.0033 0.1653 0.1918
C3 C 0.0062 0.3246 0.9680
C4 C 0.0617 0.0056 0.1160
C5 C 0.0691 0.4346 0.6602
C6 C 0.0813 0.4359 0.9088
C7 C 0.1030 0.0372 0.4391
C8 C 0.1364 0.1841 0.9638
C9 C 0.1375 0.1870 0.6640
C10 C 0.1669 0.1835 0.3595
C11 C 0.1812 0.0885 0.2476
C12 C 0.2385 0.4947 0.1160
S1 S 0.1246 0.2011 0.8066
O1 O 0.0000 0.4876 0.2500
O2 O 0.0059 0.2496 0.1607
O3 O 0.0066 0.3367 0.0222
O4 O 0.0588 0.0713 0.0717
O5 O 0.1151 0.4928 0.1867
O6 O 0.1179 0.1174 0.4800
O7 O 0.1251 0.4911 0.4253
O8 O 0.1747 0.2226 0.0208
O9 O 0.1771 0.4731 0.0828
O10 O 0.1780 0.2328 0.6489
O11 O 0.1793 0.2997 0.8335
O12 O 0.2028 0.1357 0.2127
# - Energy relative to the elements: -0.698 eV/atom
# - Spin magnetization: 0.000 μB per atom
# - MP2020-corrected energy: -8.398 eV/atom


# 2
# Sr2YCu3Pb2O8 PBE relaxed
data_Sr2YCu3Pb2O8
_chemical_formula_sum 'Sr4 Y2 Cu6 Pb4 O16'
_cell_length_a 5.4157
_cell_length_b 15.9511
_cell_length_c 5.4884
_cell_angle_alpha 90.00
_cell_angle_beta 90.00
_cell_angle_gamma 90.00
_symmetry_space_group_name_H-M 'P m n a'
_symmetry_Int_Tables_number 53
loop_
_symmetry_equiv_pos_as_xyz
'x,y,z'
'-x,-y,-z'
'-x+1/2,-y,z+1/2'
'x+1/2,y,-z+1/2'
'x,-y,-z'
'-x,y,z'
'-x+1/2,y,-z+1/2'
'x+1/2,-y,z+1/2'
loop_
_atom_site_label
_atom_site_type_symbol
_atom_site_fract_x
_atom_site_fract_y
_atom_site_fract_z
Sr1 Sr 0.0000 0.2210 0.0033
Y1 Y 0.0000 0.0000 0.0000
Cu1 Cu 0.0000 0.1039 0.5008
Cu2 Cu 0.0000 0.5000 0.0000
Pb1 Pb 0.0000 0.3886 0.4932
O1 O 0.0000 0.2514 0.5117
O2 O 0.0000 0.3850 0.0667
O3 O 0.2500 0.0907 0.7500
O4 O 0.2500 0.0923 0.2500
# - Energy relative to the elements: -2.065 eV/atom
# - Spin magnetization: 0.000 μB per atom
# - Polymorph energy (0 for the lowest one): 0.000 eV per atom
# - MP2020-corrected energy: -6.387 eV/atom


# 3
# Sr3La2B4O12 PBE relaxed
data_Sr3La2B4O12
_chemical_formula_sum 'Sr12 La8 B16 O48'
_cell_length_a 7.4414
_cell_length_b 8.9473
_cell_length_c 16.8357
_cell_angle_alpha 90.00
_cell_angle_beta 90.00
_cell_angle_gamma 90.00
_symmetry_space_group_name_H-M 'P n a 21'
_symmetry_Int_Tables_number 33
loop_
_symmetry_equiv_pos_as_xyz
'x,y,z'
'-x,-y,z+1/2'
'-x+1/2,y+1/2,z+1/2'
'x+1/2,-y+1/2,z'
loop_
_atom_site_label
_atom_site_type_symbol
_atom_site_fract_x
_atom_site_fract_y
_atom_site_fract_z
Sr1 Sr 0.0340 0.1745 0.0000
Sr2 Sr 0.1816 0.6515 0.7055
Sr3 Sr 0.1914 0.6475 0.9539
La1 La 0.0321 0.1688 0.6609
La2 La 0.1829 0.5334 0.3332
B1 B 0.0160 0.1291 0.3281
B2 B 0.1635 0.4398 0.5393
B3 B 0.1718 0.4507 0.1233
B4 B 0.2220 0.3564 0.8303
O1 O 0.0375 0.9423 0.7576
O2 O 0.0456 0.9274 0.9001
O3 O 0.0876 0.2968 0.5390
O4 O 0.1015 0.3084 0.1263
O5 O 0.1127 0.5397 0.4810
O6 O 0.1174 0.2593 0.3255
O7 O 0.1182 0.5599 0.1781
O8 O 0.1389 0.4938 0.8304
O9 O 0.1935 0.9891 0.5698
O10 O 0.2073 0.9745 0.0962
O11 O 0.2352 0.7820 0.3995
O12 O 0.2472 0.7815 0.2589
# - Energy relative to the elements: -3.373 eV/atom
# - Spin magnetization: 0.000 μB per atom
# - MP2020-corrected energy: -8.185 eV/atom


# 4
# LiSi3 PBE relaxed
data_LiSi3
_chemical_formula_sum 'Li2 Si6'
_cell_length_a 5.4130
_cell_length_b 5.4130
_cell_length_c 4.6106
_cell_angle_alpha 90.00
_cell_angle_beta 90.00
_cell_angle_gamma 120.00
_symmetry_space_group_name_H-M 'P 63/m m c'
_symmetry_Int_Tables_number 194
_symmetry_space_group_name_Hall '-P 6c 2c'
loop_
_atom_site_label
_atom_site_type_symbol
_atom_site_fract_x
_atom_site_fract_y
_atom_site_fract_z
Li1 Li 0.3333 0.6667 0.2500
Si1 Si 0.1575 0.3150 0.7500
# - Energy relative to the elements: 0.223 eV/atom
# - Spin magnetization: 0.000 μB per atom
# - Polymorph energy (0 for the lowest one): 0.000 eV per atom
# - MP2020-corrected energy: -4.323 eV/atom


# 5
# TcN PBE relaxed
data_TcN
_chemical_formula_sum 'Tc4 N4'
_cell_length_a 4.3249
_cell_length_b 4.3249
_cell_length_c 4.3249
_cell_angle_alpha 90.00
_cell_angle_beta 90.00
_cell_angle_gamma 90.00
_symmetry_space_group_name_H-M 'F m -3 m'
_symmetry_Int_Tables_number 225
_symmetry_space_group_name_Hall '-F 4 2 3'
loop_
_atom_site_label
_atom_site_type_symbol
_atom_site_fract_x
_atom_site_fract_y
_atom_site_fract_z
Tc1 Tc 0.0000 0.0000 0.0000
N1 N 0.0000 0.0000 0.5000
# - Energy relative to the elements: 0.372 eV/atom
# - Spin magnetization: 0.000 μB per atom
# - Polymorph energy (0 for the lowest one): 0.545 eV per atom
# - MP2020-corrected energy: -8.976 eV/atom


# 6
# Al6Bi24Cl23 PBE relaxed
data_Al6Bi24Cl23
_chemical_formula_sum 'Al12 Bi48 Cl46'
_cell_length_a 16.7475
_cell_length_b 16.8664
_cell_length_c 18.8190
_cell_angle_alpha 89.33
_cell_angle_beta 87.96
_cell_angle_gamma 66.32
_symmetry_space_group_name_H-M 'P 1'
_symmetry_Int_Tables_number 1
loop_
_symmetry_equiv_pos_as_xyz
'x,y,z'
loop_
_atom_site_label
_atom_site_type_symbol
_atom_site_fract_x
_atom_site_fract_y
_atom_site_fract_z
Al1 Al 0.0000 0.0000 0.0000
Al2 Al 0.0031 0.9463 0.4671
Al3 Al 0.3817 0.1930 0.4179
Al4 Al 0.3914 0.1991 0.0072
Al5 Al 0.5569 0.6781 0.9133
Al6 Al 0.5658 0.3723 0.7113
Al7 Al 0.5706 0.6847 0.5034
Al8 Al 0.6484 0.5388 0.0534
Al9 Al 0.6858 0.9179 0.2099
Al10 Al 0.6894 0.5651 0.3804
Al11 Al 0.9229 0.6022 0.7026
Al12 Al 0.9515 0.8860 0.8594
Bi1 Bi 0.0225 0.3058 0.8268
Bi2 Bi 0.0276 0.3006 0.5969
Bi3 Bi 0.0729 0.6956 0.2124
Bi4 Bi 0.0938 0.5517 0.3220
Bi5 Bi 0.1080 0.5618 0.0911
Bi6 Bi 0.1189 0.1062 0.7942
Bi7 Bi 0.1229 0.1022 0.6313
Bi8 Bi 0.1370 0.4148 0.2021
Bi9 Bi 0.1437 0.9782 0.1970
Bi10 Bi 0.1652 0.6346 0.7978
Bi11 Bi 0.1721 0.2454 0.7102
Bi12 Bi 0.1746 0.6371 0.6327
Bi13 Bi 0.2431 0.9747 0.3326
Bi14 Bi 0.2566 0.0351 0.0928
Bi15 Bi 0.2572 0.4470 0.7143
Bi16 Bi 0.2611 0.8369 0.0912
Bi17 Bi 0.3080 0.7036 0.8037
Bi18 Bi 0.3162 0.7072 0.6354
Bi19 Bi 0.3172 0.7739 0.2493
Bi20 Bi 0.3381 0.0589 0.2364
Bi21 Bi 0.3526 0.5075 0.8341
Bi22 Bi 0.3660 0.5118 0.6000
Bi23 Bi 0.4264 0.8778 0.1253
Bi24 Bi 0.4418 0.8738 0.2875
Bi25 Bi 0.4625 0.0495 0.7153
Bi26 Bi 0.4671 0.5620 0.7206
Bi27 Bi 0.4882 0.2906 0.2087
Bi28 Bi 0.5632 0.3957 0.2994
Bi29 Bi 0.5744 0.4262 0.1366
Bi30 Bi 0.5758 0.9326 0.5960
Bi31 Bi 0.5771 0.9269 0.8268
Bi32 Bi 0.6236 0.1939 0.3196
Bi33 Bi 0.6272 0.2270 0.0871
Bi34 Bi 0.6293 0.0842 0.6303
Bi35 Bi 0.6302 0.0797 0.7935
Bi36 Bi 0.6821 0.7970 0.7080
Bi37 Bi 0.7636 0.1256 0.1984
Bi38 Bi 0.7643 0.2779 0.2935
Bi39 Bi 0.7685 0.2989 0.1321
Bi40 Bi 0.7763 0.8999 0.6239
Bi41 Bi 0.7821 0.8988 0.7864
Bi42 Bi 0.8825 0.3638 0.7134
Bi43 Bi 0.9074 0.6793 0.2889
Bi44 Bi 0.9139 0.6877 0.1249
Bi45 Bi 0.9161 0.1928 0.7987
Bi46 Bi 0.9208 0.1869 0.6320
Bi47 Bi 0.9539 0.4721 0.2787
Bi48 Bi 0.9625 0.4887 0.1166
Cl1 Cl 0.0152 0.0056 0.3666
Cl2 Cl 0.0247 0.1129 0.0184
Cl3 Cl 0.0432 0.4882 0.6943
Cl4 Cl 0.0991 0.9150 0.9250
Cl5 Cl 0.1210 0.9189 0.5254
Cl6 Cl 0.1947 0.7457 0.3207
Cl7 Cl 0.2252 0.6917 0.1030
Cl8 Cl 0.2466 0.3323 0.8145
Cl9 Cl 0.2650 0.3269 0.6149
Cl10 Cl 0.2896 0.1581 0.4777
Cl11 Cl 0.3066 0.1556 0.9508
Cl12 Cl 0.3281 0.2290 0.3107
Cl13 Cl 0.3282 0.9963 0.7106
Cl14 Cl 0.3376 0.2277 0.1167
Cl15 Cl 0.4015 0.3150 0.9677
Cl16 Cl 0.4061 0.3015 0.4526
Cl17 Cl 0.4399 0.6167 0.2459
Cl18 Cl 0.4445 0.7982 0.9150
Cl19 Cl 0.4620 0.8022 0.4931
Cl20 Cl 0.4939 0.2932 0.7108
Cl21 Cl 0.5038 0.0806 0.4082
Cl22 Cl 0.5196 0.0957 0.0085
Cl23 Cl 0.5280 0.5694 0.9511
Cl24 Cl 0.5589 0.5814 0.4335
Cl25 Cl 0.5660 0.0313 0.2045
Cl26 Cl 0.6117 0.6342 0.6038
Cl27 Cl 0.6188 0.6469 0.8107
Cl28 Cl 0.6355 0.3712 0.6140
Cl29 Cl 0.6389 0.3601 0.8040
Cl30 Cl 0.6439 0.6837 0.9963
Cl31 Cl 0.6555 0.8055 0.2319
Cl32 Cl 0.6790 0.5835 0.2711
Cl33 Cl 0.6851 0.6866 0.4360
Cl34 Cl 0.7576 0.8977 0.1097
Cl35 Cl 0.7653 0.9301 0.2933
Cl36 Cl 0.7761 0.4603 0.0026
Cl37 Cl 0.7893 0.4565 0.4228
Cl38 Cl 0.8475 0.6019 0.6124
Cl39 Cl 0.8571 0.6005 0.8017
Cl40 Cl 0.8792 0.0308 0.9427
Cl41 Cl 0.8919 0.0403 0.5271
Cl42 Cl 0.9192 0.3295 0.2259
Cl43 Cl 0.9582 0.7139 0.6984
Cl44 Cl 0.9710 0.7851 0.9389
Cl45 Cl 0.9794 0.8317 0.4548
Cl46 Cl 0.9907 0.9376 0.0975
# - Energy relative to the elements: -0.968 eV/atom
# - Spin magnetization: 0.000 μB per atom
# - MP2020-corrected energy: -3.956 eV/atom


# 7
# LiCuO2 PBE relaxed
data_LiCuO2
_chemical_formula_sum 'Li4 Cu4 O8'
_cell_length_a 3.2820
_cell_length_b 10.1842
_cell_length_c 5.2964
_cell_angle_alpha 90.00
_cell_angle_beta 90.00
_cell_angle_gamma 90.00
_symmetry_space_group_name_H-M 'C m c m'
_symmetry_Int_Tables_number 63
_symmetry_space_group_name_Hall '-C 2c 2'
loop_
_atom_site_label
_atom_site_type_symbol
_atom_site_fract_x
_atom_site_fract_y
_atom_site_fract_z
Li1 Li 0.0000 0.2176 0.2500
Cu1 Cu 0.0000 0.4960 0.2500
O1 O 0.0000 0.3744 0.5082
# - Energy relative to the elements: -1.405 eV/atom
# - Spin magnetization: 0.000 μB per atom
# - MP2020-corrected energy: -5.381 eV/atom


# 8
# MgZn3 PBE relaxed
data_MgZn3
_chemical_formula_sum 'Mg1 Zn3'
_cell_length_a 4.0364
_cell_length_b 4.0364
_cell_length_c 4.0364
_cell_angle_alpha 90.00
_cell_angle_beta 90.00
_cell_angle_gamma 90.00
_symmetry_space_group_name_H-M 'P m -3 m'
_symmetry_Int_Tables_number 221
_symmetry_space_group_name_Hall '-P 4 2 3'
loop_
_atom_site_label
_atom_site_type_symbol
_atom_site_fract_x
_atom_site_fract_y
_atom_site_fract_z
Mg1 Mg 0.0000 0.0000 0.0000
Zn1 Zn 0.0000 0.5000 0.5000
# - Energy relative to the elements: -0.055 eV/atom


Values for density, g cm⁻³, ordered as above
4.06, 6.98, 4.60, 2.59, 9.20, 4.09, 3.85, 5.57
Values for volume, Å³ per atom, ordered as above
18.4, 14.8, 13.3, 14.6, 10.1, 45.9, 11.1, 16.4